[1]
First-principles (r2SCAN) data for crystalline HfMn2 at its relaxed geometry, as listed in the Materials Project.

The structure in CIF format:
```
data_HfMn2
_chemical_formula_sum 'Hf4 Mn8'
_cell_length_a 4.881
_cell_length_b 4.881
_cell_length_c 8.250
_cell_angle_alpha 90.00
_cell_angle_beta 90.00
_cell_angle_gamma 120.00
_symmetry_space_group_name_H-M 'P 1'
_symmetry_Int_Tables_number 1
_symmetry_space_group_name_Hall 'P 1'
loop_
_atom_site_label
_atom_site_type_symbol
_atom_site_fract_x
_atom_site_fract_y
_atom_site_fract_z
_atom_site_occupancy
Hf1 Hf 0.333 0.667 0.067 1
Hf2 Hf 0.333 0.667 0.433 1
Hf3 Hf 0.667 0.333 0.567 1
Hf4 Hf 0.667 0.333 0.933 1
Mn1 Mn 0.000 0.000 0.000 1
Mn2 Mn 0.000 0.000 0.500 1
Mn3 Mn 0.171 0.342 0.750 1
Mn4 Mn 0.171 0.829 0.750 1
Mn5 Mn 0.342 0.171 0.250 1
Mn6 Mn 0.658 0.829 0.750 1
Mn7 Mn 0.829 0.171 0.250 1
Mn8 Mn 0.829 0.658 0.250 1
```

Summary:
space group: P6_3/mmc, No. 194
magnetic moment: 2.058 μB/f.u.

=====

[2]
First-principles (r2SCAN) data for crystalline HoCoGe at its relaxed geometry, as listed in the Materials Project.

The structure in CIF format:
```
data_HoCoGe
_chemical_formula_sum 'Ho4 Co4 Ge4'
_cell_length_a 6.856
_cell_length_b 4.217
_cell_length_c 7.060
_cell_angle_alpha 90.00
_cell_angle_beta 90.00
_cell_angle_gamma 90.00
_symmetry_space_group_name_H-M 'P 1'
_symmetry_Int_Tables_number 1
_symmetry_space_group_name_Hall 'P 1'
loop_
_atom_site_label
_atom_site_type_symbol
_atom_site_fract_x
_atom_site_fract_y
_atom_site_fract_z
_atom_site_occupancy
Ho1 Ho 0.014 0.250 0.197 1
Ho2 Ho 0.486 0.750 0.697 1
Ho3 Ho 0.514 0.250 0.303 1
Ho4 Ho 0.986 0.750 0.803 1
Co1 Co 0.153 0.750 0.435 1
Co2 Co 0.347 0.250 0.935 1
Co3 Co 0.653 0.750 0.065 1
Co4 Co 0.847 0.250 0.565 1
Ge1 Ge 0.202 0.250 0.602 1
Ge2 Ge 0.298 0.750 0.102 1
Ge3 Ge 0.702 0.250 0.898 1
Ge4 Ge 0.798 0.750 0.398 1
```

Summary:
space group: Pnma, No. 62
magnetic moment: 0.303 μB/f.u.

=====

no.,VASP energy (eV per atom)
1,-24.97
2,-20.64